Pr9Sb5O5 (r2SCAN, optimized geometry); space-group type = P4/n (85); calculated formation energy = -2.368 eV per atom; final energy = -24.6331 eV per atom; M_tot = 0.00 μB/f.u.
1.0
10.3168 0.0000 0.0000
0.0000 10.3168 0.0000
0.0000 0.0000 9.2970
Pr Sb O
18 10 10
Direct
0.3967 0.2962 0.3443
0.7266 0.9186 0.0015
0.5814 0.2266 0.0015
0.5000 0.0000 0.6682
0.2038 0.8967 0.3443
0.9186 0.2734 0.9985
0.7734 0.5814 0.9985
0.7962 0.1033 0.3443
0.2266 0.4186 0.9985
0.0814 0.7266 0.9985
0.6033 0.7038 0.3443
0.1033 0.2038 0.6557
0.0000 0.5000 0.3318
0.2962 0.6033 0.6557
0.4186 0.7734 0.0015
0.2734 0.0814 0.0015
0.8967 0.7962 0.6557
0.7038 0.3967 0.6557
0.5000 0.0000 0.3138
0.5970 0.6971 0.7009
0.3029 0.5970 0.2991
0.6971 0.4030 0.2991
0.4030 0.3029 0.7009
0.0970 0.1971 0.2991
0.9030 0.8029 0.2991
0.8029 0.0970 0.7009
0.1971 0.9030 0.7009
0.0000 0.5000 0.6862
0.8791 0.7751 0.9102
0.1209 0.2249 0.9102
0.7249 0.3791 0.9102
0.7751 0.1209 0.0898
0.2751 0.6209 0.9102
0.2249 0.8791 0.0898
0.3791 0.2751 0.0898
0.6209 0.7249 0.0898
0.0000 0.5000 0.0677
0.5000 0.0000 0.9323

Ca5Si4Au6 (r2SCAN, optimized geometry); space-group type = Cm (8); calculated formation energy = -0.753 eV per atom; final energy = -25.6732 eV per atom; M_tot = 0.00 μB/f.u.
1.0
-0.6622 -5.3813 -1.8140
2.2778 -5.0196 1.5175
-18.8331 -6.8689 17.3654
Au Si Ca
12 8 10
Direct
0.7015 0.7015 0.3654
0.3096 0.3096 0.1634
0.6890 0.6890 0.8406
0.4704 0.4704 0.0672
0.9177 0.9177 0.9519
0.1124 0.1124 0.5569
0.5122 0.5122 0.7539
0.8692 0.8692 0.2730
0.5143 0.5143 0.2363
0.1138 0.1138 0.0346
0.2908 0.2908 0.6441
0.8882 0.8882 0.4464
0.1251 0.1251 0.4020
0.6730 0.6730 0.6685
0.7387 0.7387 0.1952
0.2711 0.2711 0.4714
0.3347 0.3347 0.9894
0.5285 0.5285 0.5982
0.9284 0.9284 0.7952
0.0723 0.0723 0.8664
0.4204 0.4204 0.3577
0.0279 0.0279 0.1531
0.7769 0.7769 0.0747
0.2223 0.2223 0.7580
0.6260 0.6260 0.9558
0.5713 0.5713 0.4778
0.1723 0.1723 0.2788
0.8221 0.8221 0.5600
0.9770 0.9770 0.6744
0.3755 0.3755 0.8725

Ba3Ge2B6O16 (r2SCAN, optimized geometry); space-group type = P-1 (2); calculated formation energy = -2.679 eV per atom; final energy = -11.8228 eV per atom; M_tot = 0.00 μB/f.u.
1.0
-5.1177 0.0065 -0.0041
-0.2353 -7.6671 0.0008
1.8919 1.8264 8.2448
O B Ge Ba
16 6 2 3
Direct
0.7896 0.4558 0.3214
0.3040 0.1770 0.9953
0.5180 0.2179 0.6273
0.8689 0.1340 0.8197
0.2104 0.5442 0.6786
0.0868 0.7245 0.9025
0.1311 0.8660 0.1803
0.9610 0.2030 0.5744
0.8667 0.4389 0.7963
0.9132 0.2755 0.0975
0.4820 0.7821 0.3727
0.0390 0.7970 0.4256
0.2318 0.3240 0.3556
0.1333 0.5611 0.2037
0.6960 0.8230 0.0047
0.7682 0.6760 0.6444
0.0388 0.1955 0.9729
0.0298 0.4085 0.2462
0.8088 0.2558 0.7050
0.1912 0.7442 0.2950
0.9702 0.5915 0.7538
0.9612 0.8045 0.0271
0.7706 0.6694 0.4420
0.2294 0.3306 0.5580
0.6186 0.0794 0.2602
0.3814 0.9206 0.7398
0.5000 0.5000 0.0000

MgAlIr2 (r2SCAN, optimized geometry); space-group type = Fm-3m (225); calculated formation energy = -0.790 eV per atom; final energy = -29.6954 eV per atom; M_tot = 0.00 μB/f.u.
1.0
0.0000 3.0306 3.0306
3.0306 0.0000 3.0306
3.0306 3.0306 0.0000
Ir Mg Al
2 1 1
Direct
0.0000 0.0000 0.0000
0.5000 0.5000 0.5000
0.7500 0.7500 0.7500
0.2500 0.2500 0.2500

Na4FeNiP3O12 (r2SCAN, optimized geometry); space-group type = R3c (161); calculated formation energy = -2.268 eV per atom; final energy = -8.9030 eV per atom; M_tot = 7.00 μB/f.u.
1.0
-5.8441 6.3795 0.5785
-1.9877 3.0853 7.8560
2.7472 7.9413 2.1389
P O Na Ni Fe
6 24 8 2 2
Direct
0.4532 0.0461 0.7538
0.5461 0.9532 0.2538
0.0461 0.7538 0.4532
0.7538 0.4532 0.0461
0.9532 0.2538 0.5461
0.2538 0.5461 0.9532
0.0920 0.7277 0.9313
0.5920 0.4313 0.2277
0.3047 0.5149 0.1126
0.2064 0.3790 0.9878
0.3790 0.9878 0.2064
0.7277 0.9313 0.0920
0.9173 0.2687 0.0610
0.2687 0.0610 0.9173
0.2277 0.5920 0.4313
0.7064 0.4878 0.8790
0.9878 0.2064 0.3790
0.8790 0.7064 0.4878
0.4878 0.8790 0.7064
0.5149 0.1126 0.3047
0.5610 0.7687 0.4173
0.8047 0.6126 0.0149
0.1126 0.3047 0.5149
0.4313 0.2277 0.5920
0.0149 0.8047 0.6126
0.9313 0.0920 0.7277
0.0610 0.9173 0.2687
0.6126 0.0149 0.8047
0.7687 0.4173 0.5610
0.4173 0.5610 0.7687
0.8857 0.6154 0.2430
0.1154 0.3857 0.7430
0.6154 0.2430 0.8857
0.3857 0.7430 0.1154
0.4979 0.4979 0.4979
0.9979 0.9979 0.9979
0.7430 0.1154 0.3857
0.2430 0.8857 0.6154
0.3540 0.3540 0.3540
0.8540 0.8540 0.8540
0.6477 0.6477 0.6477
0.1477 0.1477 0.1477

Y3H (r2SCAN, optimized geometry); space-group type = Pmma (51); calculated formation energy = -0.282 eV per atom; final energy = -16.3806 eV per atom; M_tot = 0.29 μB/f.u.
1.0
3.6826 0.0000 0.0000
0.0000 6.3499 0.0000
0.0000 0.0000 17.5344
Y H
12 4
Direct
0.5000 0.8265 0.9182
0.0000 0.3352 0.9092
0.5000 0.8265 0.5818
0.0000 0.3352 0.5908
0.5000 0.8356 0.2500
0.0000 0.3268 0.2500
0.5000 0.1644 0.7500
0.5000 0.1735 0.0818
0.5000 0.1735 0.4182
0.0000 0.6732 0.7500
0.0000 0.6648 0.4092
0.0000 0.6648 0.0908
0.0000 0.3303 0.3797
0.0000 0.3303 0.1203
0.0000 0.6697 0.8797
0.0000 0.6697 0.6203

NbSe3 (r2SCAN, optimized geometry); space-group type = P2_1/m (11); calculated formation energy = -0.764 eV per atom; final energy = -17.6812 eV per atom; M_tot = 0.00 μB/f.u.
1.0
3.5210 0.0000 0.0000
0.0000 9.7912 -3.2697
0.0000 -0.1403 15.8577
Nb Se
6 18
Direct
0.2500 0.4656 0.1160
0.7500 0.5344 0.8840
0.2500 0.1163 0.7916
0.7500 0.8381 0.5390
0.2500 0.1619 0.4610
0.7500 0.8837 0.2084
0.7500 0.9604 0.4067
0.7500 0.0875 0.9085
0.2500 0.0865 0.2778
0.2500 0.7191 0.2484
0.7500 0.4323 0.2329
0.2500 0.3789 0.9322
0.7500 0.6211 0.0678
0.2500 0.6687 0.5744
0.7500 0.2809 0.7516
0.2500 0.5677 0.7671
0.7500 0.3253 0.5737
0.2500 0.9125 0.0915
0.2500 0.7407 0.9169
0.7500 0.2593 0.0831
0.2500 0.6747 0.4263
0.2500 0.0396 0.5933
0.7500 0.9135 0.7222
0.7500 0.3313 0.4256

Mg (r2SCAN, optimized geometry); excess energy over the best structure of this formula in the dataset = 0.03 eV/f.u.; space-group type = Fm-3m (225); calculated formation energy = 0.030 eV per atom; final energy = -4.1391 eV per atom; M_tot = 0.00 μB/f.u.
1.0
3.0718 -0.6609 -0.4480
1.5992 1.4067 -2.3531
2.2062 2.1830 0.6639
Mg
1
Direct
0.0000 0.0000 0.0000

EuGe2Au2 (r2SCAN, optimized geometry); space-group type = I4/mmm (139); calculated formation energy = -0.550 eV per atom; final energy = -34.0373 eV per atom; M_tot = 6.93 μB/f.u.
1.0
2.5318 -4.3693 3.3971
5.1743 1.3662 2.8985
-5.5180 2.4867 -0.6400
Ge Au Eu
2 2 1
Direct
0.3816 0.3816 0.0000
0.6184 0.6184 0.0000
0.7500 0.2500 0.5000
0.2500 0.7500 0.5000
0.0000 0.0000 0.0000

GdGa2Co (r2SCAN, optimized geometry); space-group type = Pm (6); calculated formation energy = -0.503 eV per atom; final energy = -20.3826 eV per atom; M_tot = 0.59 μB/f.u.
1.0
-0.3793 -3.8957 1.0034
-0.3061 -0.9837 -3.9342
8.8726 -0.4713 1.5245
Ga Co Gd
4 2 2
Direct
0.5023 0.0026 0.0004
0.5021 0.2926 0.5835
0.0017 0.5019 0.0003
0.5020 0.7085 0.4154
0.5018 0.5754 0.1467
0.5017 0.4295 0.8538
0.0020 0.1435 0.2845
0.0020 0.8576 0.7146

BaZnSi (r2SCAN, optimized geometry); space-group type = P6_3/mmc (194); calculated formation energy = -0.422 eV per atom; final energy = -15.1498 eV per atom; M_tot = 0.00 μB/f.u.
1.0
4.3606 0.0000 0.0000
-2.1803 3.7764 0.0000
0.0000 0.0000 9.8643
Ba Si Zn
2 2 2
Direct
0.0000 0.0000 0.5000
0.0000 0.0000 0.0000
0.6667 0.3333 0.7500
0.3333 0.6667 0.2500
0.3333 0.6667 0.7500
0.6667 0.3333 0.2500

PrIn5Rh (r2SCAN, optimized geometry); space-group type = P4/mmm (123); calculated formation energy = -0.571 eV per atom; final energy = -24.3468 eV per atom; M_tot = 0.00 μB/f.u.
1.0
4.6821 0.0000 0.0000
0.0000 4.6821 0.0000
0.0000 0.0000 7.5911
In Pr Rh
5 1 1
Direct
0.5000 0.5000 0.0000
0.0000 0.5000 0.6936
0.5000 0.0000 0.3064
0.5000 0.0000 0.6936
0.0000 0.5000 0.3064
0.0000 0.0000 0.0000
0.0000 0.0000 0.5000

Sr4Mn2CuO9 (r2SCAN, optimized geometry); space-group type = P1 (1); calculated formation energy = -2.547 eV per atom; final energy = -12.2067 eV per atom; M_tot = 6.33 μB/f.u.
1.0
5.9998 4.9307 -0.7814
2.8927 -2.1446 8.9010
3.2493 -5.1287 -7.4324
O Cu Sr Mn
27 3 12 6
Direct
0.7577 0.5209 0.1720
0.7571 0.8257 0.3436
0.2785 0.1763 0.0084
0.9641 0.5073 0.8258
0.7576 0.6451 0.4779
0.0667 0.5086 0.3262
0.3080 0.8482 0.8419
0.9987 0.1486 0.1559
0.9310 0.1889 0.6798
0.2426 0.4761 0.6426
0.9321 0.3225 0.5056
0.9992 0.8505 0.0036
0.5505 0.1857 0.6795
0.5245 0.5101 0.8250
0.6889 0.0035 0.1576
0.4485 0.6801 0.1865
0.2414 0.1686 0.5164
0.5495 0.3177 0.4996
0.0697 0.6834 0.1925
0.7215 0.1647 0.9901
0.6942 0.8377 0.8469
0.0018 0.9957 0.8487
0.4518 0.5001 0.3179
0.3078 0.9925 0.1530
0.4752 0.8252 0.5109
0.2435 0.3421 0.8215
0.0365 0.8288 0.5109
0.2579 0.6076 0.2734
0.7422 0.2727 0.6073
0.5000 0.9396 0.9996
0.4995 0.6385 0.6376
0.2429 0.6603 0.9688
0.9995 0.6708 0.6719
0.9974 0.3232 0.9947
0.4947 0.9938 0.3605
0.2503 0.0190 0.6867
0.0035 0.9940 0.3265
0.7530 0.9714 0.6670
0.7540 0.6801 0.0178
0.5047 0.3492 0.9935
0.2502 0.3038 0.3316
0.7507 0.3339 0.3023
0.0745 0.3372 0.6686
0.5930 0.6693 0.3374
0.8355 0.0027 0.0008
0.4076 0.3378 0.6687
0.1645 0.0055 0.0013
0.9259 0.6719 0.3408